(1)
VASP calculation (meta-GGA r2SCAN) on a geometry-optimized TmAlAu structure.

Computed properties:
E = -31.71 eV per atom
Mass density = 10.882 g/cm3

POSCAR file:
```
TmAlAu
1.0
-2.740 3.447 -0.319
-1.634 -0.669 6.817
5.777 4.763 1.852
Tm Al Au
4 4 4
direct
0.250 0.008 0.301
0.750 0.992 0.699
0.250 0.508 0.199
0.750 0.492 0.801
0.250 0.176 0.922
0.750 0.324 0.422
0.750 0.824 0.078
0.250 0.676 0.578
0.750 0.216 0.094
0.250 0.284 0.594
0.750 0.716 0.406
0.250 0.784 0.906
```

(2)
VASP calculation (meta-GGA r2SCAN) on a geometry-optimized DyIn2Ni structure.

Computed properties:
E = -22.81 eV per atom
Mass density = 9.138 g/cm3

POSCAR file:
```
DyIn2Ni
1.0
2.165 -5.193 0.000
2.165 5.193 0.000
0.000 0.000 7.286
In Dy Ni
4 2 2
direct
0.144 0.856 0.550
0.856 0.144 0.450
0.144 0.856 0.950
0.856 0.144 0.050
0.569 0.431 0.250
0.431 0.569 0.750
0.288 0.712 0.250
0.712 0.288 0.750
```

(3)
VASP calculation (meta-GGA r2SCAN) on a geometry-optimized BeP2 structure.

Computed properties:
E = -7.84 eV per atom
Mass density = 2.493 g/cm3

POSCAR file:
```
BeP2
1.0
-5.560 -3.740 2.333
3.811 -2.193 5.569
-1.908 7.427 1.972
Be P
8 16
direct
0.294 0.540 0.175
0.172 0.169 0.676
0.294 0.047 0.176
0.460 0.706 0.825
0.831 0.335 0.325
0.665 0.169 0.675
0.953 0.706 0.824
0.831 0.828 0.324
0.497 0.996 0.003
0.460 0.208 0.835
0.793 0.045 0.170
0.333 0.335 0.335
0.170 0.668 0.670
0.121 0.372 0.503
0.496 0.504 0.000
0.629 0.371 0.500
0.004 0.996 0.000
0.332 0.830 0.330
0.628 0.879 0.497
0.004 0.503 0.997
0.121 0.879 0.500
0.955 0.207 0.830
0.792 0.540 0.165
0.665 0.667 0.665
```

Q: Which value of E does entry 3 give?
A: -7.84 eV per atom

Repeat the second record exactly.
VASP calculation (meta-GGA r2SCAN) on a geometry-optimized DyIn2Ni structure.

Computed properties:
E = -22.81 eV per atom
Mass density = 9.138 g/cm3

POSCAR file:
```
DyIn2Ni
1.0
2.165 -5.193 0.000
2.165 5.193 0.000
0.000 0.000 7.286
In Dy Ni
4 2 2
direct
0.144 0.856 0.550
0.856 0.144 0.450
0.144 0.856 0.950
0.856 0.144 0.050
0.569 0.431 0.250
0.431 0.569 0.750
0.288 0.712 0.250
0.712 0.288 0.750
```